Here is crystalline Gd5Pb3 at its relaxed geometry from the Materials Project. Energies are from PBE.

E_form: -542 meV/atom
Symmetry: P6_3/mcm, No. 193

Cell lengths 9.202, 9.202, 6.746 Å; angles 90.00, 90.00, 120.00 degrees
Fractional positions:
Gd: 0.000 0.239 0.250
Gd: 0.000 0.761 0.750
Gd: 0.239 0.000 0.250
Gd: 0.239 0.239 0.750
Gd: 0.333 0.667 0.000
Gd: 0.333 0.667 0.500
Gd: 0.667 0.333 0.000
Gd: 0.667 0.333 0.500
Gd: 0.761 0.000 0.750
Gd: 0.761 0.761 0.250
Pb: 0.000 0.395 0.750
Pb: 0.000 0.605 0.250
Pb: 0.395 0.000 0.750
Pb: 0.395 0.395 0.250
Pb: 0.605 0.000 0.250
Pb: 0.605 0.605 0.750

=====

Here is crystalline GdPb3 at its relaxed geometry from the Materials Project. Energies are from PBE.

E_form: -333 meV/atom
Symmetry: Pm-3m, No. 221

Cell lengths 4.917, 4.917, 4.917 Å; angles 90.00, 90.00, 90.00 degrees
Fractional positions:
Gd: 0.000 0.000 0.000
Pb: 0.000 0.500 0.500
Pb: 0.500 0.000 0.500
Pb: 0.500 0.500 0.000

=====

Here is crystalline GdPd3 at its relaxed geometry from the Materials Project. Energies are from PBE.

E_form: -867 meV/atom
Symmetry: Pm-3m, No. 221

Cell lengths 4.160, 4.160, 4.160 Å; angles 90.00, 90.00, 90.00 degrees
Fractional positions:
Gd: 0.000 0.000 0.000
Pd: 0.000 0.500 0.500
Pd: 0.500 0.000 0.500
Pd: 0.500 0.500 0.000

=====

Here is crystalline Gd2PdRh at its relaxed geometry from the Materials Project. Energies are from PBE.

E_form: 1757 meV/atom
Symmetry: Fm-3m, No. 225

Cell lengths 4.971, 4.971, 4.971 Å; angles 60.00, 60.00, 60.00 degrees
Fractional positions:
Gd: 0.250 0.250 0.250
Gd: 0.750 0.750 0.750
Pd: 0.000 0.000 0.000
Rh: 0.500 0.500 0.500